(1)
{"formula": "Te2MoWSeS", "functional": "GGA-PBE", "state": "optimized geometry", "total_energy_ev_per_atom": -6.6540, "formation_enthalpy_0k_ev_per_atom": -0.45, "magnetic_moment_mub_per_fu": 0.006, "lattice": [[3.4042, 0.0000, 0.0000], [-1.7021, 2.9481, 0.0000], [0.0000, 0.0000, 37.6894]], "species": ["Te", "Te", "Te", "Te", "Mo", "Mo", "W", "W", "Se", "Se", "S", "S"], "frac_coords": [[0.0000, 0.0000, 0.0000], [0.0000, 0.0000, 0.0999], [0.0000, 0.0000, 0.3757], [0.0000, 0.0000, 0.4756], [0.0000, 0.0000, 0.2378], [0.0000, 0.0000, 0.8620], [0.3333, 0.6667, 0.0500], [0.3333, 0.6667, 0.4257], [0.3333, 0.6667, 0.8184], [0.3333, 0.6667, 0.9057], [0.3333, 0.6667, 0.1979], [0.3333, 0.6667, 0.2777]]}

=====

(2)
{"formula": "Te2Mo3WSe2S4", "functional": "GGA-PBE", "state": "optimized geometry", "total_energy_ev_per_atom": -6.8824, "formation_enthalpy_0k_ev_per_atom": -0.77, "magnetic_moment_mub_per_fu": 0.001, "lattice": [[3.3054, 0.0000, 0.0000], [-1.6527, 2.8625, 0.0000], [0.0000, 0.0000, 39.6506]], "species": ["Te", "Te", "Mo", "Mo", "Mo", "W", "Se", "Se", "S", "S", "S", "S"], "frac_coords": [[0.0000, 0.0000, 0.0000], [0.0000, 0.0000, 0.0965], [0.0000, 0.0000, 0.8583], [0.6667, 0.3333, 0.0482], [0.6667, 0.3333, 0.6717], [0.0000, 0.0000, 0.2363], [0.6667, 0.3333, 0.8160], [0.6667, 0.3333, 0.9007], [0.0000, 0.0000, 0.6331], [0.0000, 0.0000, 0.7103], [0.6667, 0.3333, 0.1976], [0.6667, 0.3333, 0.2750]]}

=====

(3)
{"formula": "Te2MoWSeS", "functional": "GGA-PBE", "state": "optimized geometry", "total_energy_ev_per_atom": -6.6899, "formation_enthalpy_0k_ev_per_atom": -0.49, "magnetic_moment_mub_per_fu": 0.000, "lattice": [[3.3949, 0.0000, 0.0000], [-1.6974, 2.9401, 0.0000], [0.0000, 0.0000, 40.5094]], "species": ["Te", "Te", "Te", "Te", "Mo", "Mo", "W", "W", "Se", "Se", "S", "S"], "frac_coords": [[0.0000, 0.0000, 0.0000], [0.0000, 0.0000, 0.0925], [0.3333, 0.6667, 0.8074], [0.3333, 0.6667, 0.9005], [0.0000, 0.0000, 0.4803], [0.3333, 0.6667, 0.0463], [0.0000, 0.0000, 0.8540], [0.3333, 0.6667, 0.6682], [0.3333, 0.6667, 0.4395], [0.3333, 0.6667, 0.5210], [0.0000, 0.0000, 0.6310], [0.0000, 0.0000, 0.7054]]}

=====

(4)
{"formula": "Te2Mo3WSe4S2", "functional": "GGA-PBE", "state": "optimized geometry", "total_energy_ev_per_atom": -6.7227, "formation_enthalpy_0k_ev_per_atom": -0.64, "magnetic_moment_mub_per_fu": 0.001, "lattice": [[3.3431, 0.0000, 0.0000], [-1.6716, 2.8953, 0.0000], [0.0000, 0.0000, 38.0283]], "species": ["Te", "Te", "Mo", "Mo", "Mo", "W", "Se", "Se", "Se", "Se", "S", "S"], "frac_coords": [[0.0000, 0.0000, 0.0000], [0.0000, 0.0000, 0.0997], [0.0000, 0.0000, 0.2377], [0.0000, 0.0000, 0.8619], [0.3333, 0.6667, 0.0499], [0.3333, 0.6667, 0.4256], [0.0000, 0.0000, 0.3816], [0.0000, 0.0000, 0.4696], [0.3333, 0.6667, 0.8182], [0.3333, 0.6667, 0.9057], [0.3333, 0.6667, 0.1978], [0.3333, 0.6667, 0.2776]]}

=====

(5)
{"formula": "TeMoWSe2S", "functional": "GGA-PBE", "state": "optimized geometry", "total_energy_ev_per_atom": -6.8856, "formation_enthalpy_0k_ev_per_atom": -0.62, "magnetic_moment_mub_per_fu": 0.000, "lattice": [[3.3418, 0.0000, 0.0000], [-1.6709, 2.8941, 0.0000], [0.0000, 0.0000, 38.0220]], "species": ["Te", "Te", "Mo", "Mo", "W", "W", "Se", "Se", "Se", "Se", "S", "S"], "frac_coords": [[0.0000, 0.0000, 0.0000], [0.0000, 0.0000, 0.0997], [0.0000, 0.0000, 0.4862], [0.3333, 0.6667, 0.0499], [0.0000, 0.0000, 0.8620], [0.3333, 0.6667, 0.6741], [0.0000, 0.0000, 0.6301], [0.0000, 0.0000, 0.7182], [0.3333, 0.6667, 0.4424], [0.3333, 0.6667, 0.5300], [0.3333, 0.6667, 0.8219], [0.3333, 0.6667, 0.9020]]}

=====

(6)
{"formula": "Te2MoW3Se2S4", "functional": "GGA-PBE", "state": "optimized geometry", "total_energy_ev_per_atom": -7.1707, "formation_enthalpy_0k_ev_per_atom": -0.71, "magnetic_moment_mub_per_fu": 0.000, "lattice": [[3.3077, 0.0000, 0.0000], [-1.6538, 2.8645, 0.0000], [0.0000, 0.0000, 37.6526]], "species": ["Te", "Te", "Mo", "W", "W", "W", "Se", "Se", "S", "S", "S", "S"], "frac_coords": [[0.0000, 0.0000, 0.0000], [0.0000, 0.0000, 0.1022], [0.0000, 0.0000, 0.4875], [0.0000, 0.0000, 0.8632], [0.3333, 0.6667, 0.0511], [0.3333, 0.6667, 0.6753], [0.3333, 0.6667, 0.4428], [0.3333, 0.6667, 0.5321], [0.0000, 0.0000, 0.6346], [0.0000, 0.0000, 0.7161], [0.3333, 0.6667, 0.8225], [0.3333, 0.6667, 0.9039]]}

=====

(7)
{"formula": "Te2Mo3WSe4S2", "functional": "GGA-PBE", "state": "optimized geometry", "total_energy_ev_per_atom": -6.7015, "formation_enthalpy_0k_ev_per_atom": -0.62, "magnetic_moment_mub_per_fu": 0.000, "lattice": [[3.3469, 0.0000, 0.0000], [-1.6734, 2.8985, 0.0000], [0.0000, 0.0000, 38.0804]], "species": ["Te", "Te", "Mo", "Mo", "Mo", "W", "Se", "Se", "Se", "Se", "S", "S"], "frac_coords": [[0.0000, 0.0000, 0.0000], [0.0000, 0.0000, 0.1001], [0.0000, 0.0000, 0.4864], [0.0000, 0.0000, 0.8621], [0.3333, 0.6667, 0.6743], [0.3333, 0.6667, 0.0501], [0.0000, 0.0000, 0.6305], [0.0000, 0.0000, 0.7181], [0.3333, 0.6667, 0.8183], [0.3333, 0.6667, 0.9059], [0.3333, 0.6667, 0.4466], [0.3333, 0.6667, 0.5263]]}

=====

(8)
{"formula": "Te2MoW3Se2S4", "functional": "GGA-PBE", "state": "optimized geometry", "total_energy_ev_per_atom": -7.1538, "formation_enthalpy_0k_ev_per_atom": -0.69, "magnetic_moment_mub_per_fu": 0.000, "lattice": [[3.3099, 0.0000, 0.0000], [-1.6550, 2.8665, 0.0000], [0.0000, 0.0000, 37.8180]], "species": ["Te", "Te", "Mo", "W", "W", "W", "Se", "Se", "S", "S", "S", "S"], "frac_coords": [[0.0000, 0.0000, 0.0000], [0.0000, 0.0000, 0.1018], [0.0000, 0.0000, 0.4872], [0.0000, 0.0000, 0.8629], [0.3333, 0.6667, 0.0509], [0.3333, 0.6667, 0.6751], [0.3333, 0.6667, 0.8183], [0.3333, 0.6667, 0.9076], [0.0000, 0.0000, 0.6345], [0.0000, 0.0000, 0.7157], [0.3333, 0.6667, 0.4468], [0.3333, 0.6667, 0.5277]]}

=====

(9)
{"formula": "Te2Mo3WSe4S2", "functional": "GGA-PBE", "state": "optimized geometry", "total_energy_ev_per_atom": -6.7235, "formation_enthalpy_0k_ev_per_atom": -0.64, "magnetic_moment_mub_per_fu": 0.000, "lattice": [[3.3446, 0.0000, 0.0000], [-1.6723, 2.8965, 0.0000], [0.0000, 0.0000, 39.6881]], "species": ["Te", "Te", "Mo", "Mo", "Mo", "W", "Se", "Se", "Se", "Se", "S", "S"], "frac_coords": [[0.0000, 0.0000, 0.0000], [0.0000, 0.0000, 0.0958], [0.0000, 0.0000, 0.8607], [0.3333, 0.6667, 0.0479], [0.3333, 0.6667, 0.4250], [0.0000, 0.0000, 0.2377], [0.0000, 0.0000, 0.3830], [0.0000, 0.0000, 0.4670], [0.3333, 0.6667, 0.1955], [0.3333, 0.6667, 0.2799], [0.3333, 0.6667, 0.8225], [0.3333, 0.6667, 0.8989]]}

=====

(10)
{"formula": "Te2MoWSeS", "functional": "GGA-PBE", "state": "optimized geometry", "total_energy_ev_per_atom": -6.6891, "formation_enthalpy_0k_ev_per_atom": -0.49, "magnetic_moment_mub_per_fu": 0.003, "lattice": [[3.3954, 0.0000, 0.0000], [-1.6977, 2.9405, 0.0000], [0.0000, 0.0000, 38.6926]], "species": ["Te", "Te", "Te", "Te", "Mo", "Mo", "W", "W", "Se", "Se", "S", "S"], "frac_coords": [[0.0000, 0.0000, 0.0000], [0.0000, 0.0000, 0.0974], [0.3333, 0.6667, 0.4367], [0.3333, 0.6667, 0.5334], [0.0000, 0.0000, 0.4851], [0.3333, 0.6667, 0.6730], [0.0000, 0.0000, 0.8608], [0.3333, 0.6667, 0.0487], [0.0000, 0.0000, 0.6304], [0.0000, 0.0000, 0.7155], [0.3333, 0.6667, 0.8219], [0.3333, 0.6667, 0.8997]]}

=====

(11)
{"formula": "Te2MoWSeS", "functional": "GGA-PBE", "state": "optimized geometry", "total_energy_ev_per_atom": -6.6738, "formation_enthalpy_0k_ev_per_atom": -0.47, "magnetic_moment_mub_per_fu": 0.004, "lattice": [[3.4000, 0.0000, 0.0000], [-1.7000, 2.9445, 0.0000], [0.0000, 0.0000, 38.7384]], "species": ["Te", "Te", "Te", "Te", "Mo", "Mo", "W", "W", "Se", "Se", "S", "S"], "frac_coords": [[0.0000, 0.0000, 0.0000], [0.0000, 0.0000, 0.0973], [0.0000, 0.0000, 0.3761], [0.0000, 0.0000, 0.4727], [0.0000, 0.0000, 0.8608], [0.3333, 0.6667, 0.4244], [0.0000, 0.0000, 0.2366], [0.3333, 0.6667, 0.0487], [0.3333, 0.6667, 0.1939], [0.3333, 0.6667, 0.2792], [0.3333, 0.6667, 0.8220], [0.3333, 0.6667, 0.8996]]}

=====

(12)
{"formula": "Te2Mo3WSe2S4", "functional": "GGA-PBE", "state": "optimized geometry", "total_energy_ev_per_atom": -6.8436, "formation_enthalpy_0k_ev_per_atom": -0.73, "magnetic_moment_mub_per_fu": 0.013, "lattice": [[3.3121, 0.0000, 0.0000], [-1.6561, 2.8684, 0.0000], [0.0000, 0.0000, 37.7189]], "species": ["Te", "Te", "Mo", "Mo", "Mo", "W", "Se", "Se", "S", "S", "S", "S"], "frac_coords": [[0.0000, 0.0000, 0.0000], [0.0000, 0.0000, 0.1020], [0.0000, 0.0000, 0.2391], [0.0000, 0.0000, 0.8632], [0.6667, 0.3333, 0.6754], [0.6667, 0.3333, 0.0510], [0.6667, 0.3333, 0.1946], [0.6667, 0.3333, 0.2836], [0.0000, 0.0000, 0.6348], [0.0000, 0.0000, 0.7159], [0.6667, 0.3333, 0.8227], [0.6667, 0.3333, 0.9037]]}

=====

(13)
{"formula": "Te2Mo3WSe2S4", "functional": "GGA-PBE", "state": "optimized geometry", "total_energy_ev_per_atom": -6.8657, "formation_enthalpy_0k_ev_per_atom": -0.76, "magnetic_moment_mub_per_fu": 0.000, "lattice": [[3.3093, 0.0000, 0.0000], [-1.6547, 2.8660, 0.0000], [0.0000, 0.0000, 39.0436]], "species": ["Te", "Te", "Mo", "Mo", "Mo", "W", "Se", "Se", "S", "S", "S", "S"], "frac_coords": [[0.0000, 0.0000, 0.0000], [0.0000, 0.0000, 0.0979], [0.0000, 0.0000, 0.4838], [0.3333, 0.6667, 0.0490], [0.3333, 0.6667, 0.6717], [0.0000, 0.0000, 0.8583], [0.3333, 0.6667, 0.8150], [0.3333, 0.6667, 0.9016], [0.0000, 0.0000, 0.6325], [0.0000, 0.0000, 0.7108], [0.3333, 0.6667, 0.4447], [0.3333, 0.6667, 0.5230]]}

=====

(14)
{"formula": "Te2Mo3WSe4S2", "functional": "GGA-PBE", "state": "optimized geometry", "total_energy_ev_per_atom": -6.7017, "formation_enthalpy_0k_ev_per_atom": -0.62, "magnetic_moment_mub_per_fu": 0.003, "lattice": [[3.3462, 0.0000, 0.0000], [-1.6731, 2.8979, 0.0000], [0.0000, 0.0000, 38.0056]], "species": ["Te", "Te", "Mo", "Mo", "Mo", "W", "Se", "Se", "Se", "Se", "S", "S"], "frac_coords": [[0.0000, 0.0000, 0.0000], [0.0000, 0.0000, 0.1003], [0.0000, 0.0000, 0.4865], [0.0000, 0.0000, 0.8622], [0.3333, 0.6667, 0.6744], [0.3333, 0.6667, 0.0502], [0.3333, 0.6667, 0.4427], [0.3333, 0.6667, 0.5303], [0.3333, 0.6667, 0.8184], [0.3333, 0.6667, 0.9060], [0.0000, 0.0000, 0.6344], [0.0000, 0.0000, 0.7143]]}

=====

(15)
{"formula": "TeMoWSe2S", "functional": "GGA-PBE", "state": "optimized geometry", "total_energy_ev_per_atom": -6.8851, "formation_enthalpy_0k_ev_per_atom": -0.62, "magnetic_moment_mub_per_fu": 0.002, "lattice": [[3.3417, 0.0000, 0.0000], [-1.6708, 2.8940, 0.0000], [0.0000, 0.0000, 38.0379]], "species": ["Te", "Te", "Mo", "Mo", "W", "W", "Se", "Se", "Se", "Se", "S", "S"], "frac_coords": [[0.0000, 0.0000, 0.0000], [0.0000, 0.0000, 0.0997], [0.0000, 0.0000, 0.2377], [0.6667, 0.3333, 0.0498], [0.0000, 0.0000, 0.6135], [0.6667, 0.3333, 0.4256], [0.0000, 0.0000, 0.3816], [0.0000, 0.0000, 0.4697], [0.6667, 0.3333, 0.1939], [0.6667, 0.3333, 0.2816], [0.6667, 0.3333, 0.5734], [0.6667, 0.3333, 0.6536]]}

=====

(16)
{"formula": "Te2MoWSeS", "functional": "GGA-PBE", "state": "optimized geometry", "total_energy_ev_per_atom": -6.6541, "formation_enthalpy_0k_ev_per_atom": -0.45, "magnetic_moment_mub_per_fu": 0.000, "lattice": [[3.4016, 0.0000, 0.0000], [-1.7008, 2.9459, 0.0000], [0.0000, 0.0000, 39.8238]], "species": ["Te", "Te", "Te", "Te", "Mo", "Mo", "W", "W", "Se", "Se", "S", "S"], "frac_coords": [[0.0000, 0.0000, 0.0000], [0.0000, 0.0000, 0.0945], [0.3333, 0.6667, 0.8100], [0.3333, 0.6667, 0.9045], [0.0000, 0.0000, 0.4826], [0.3333, 0.6667, 0.6700], [0.0000, 0.0000, 0.8572], [0.3333, 0.6667, 0.0473], [0.0000, 0.0000, 0.6287], [0.0000, 0.0000, 0.7114], [0.3333, 0.6667, 0.4449], [0.3333, 0.6667, 0.5203]]}

=====

(17)
{"formula": "TeMoWSe2S", "functional": "GGA-PBE", "state": "optimized geometry", "total_energy_ev_per_atom": -6.8695, "formation_enthalpy_0k_ev_per_atom": -0.61, "magnetic_moment_mub_per_fu": 0.000, "lattice": [[3.3427, 0.0000, 0.0000], [-1.6713, 2.8949, 0.0000], [0.0000, 0.0000, 38.0872]], "species": ["Te", "Te", "Mo", "Mo", "W", "W", "Se", "Se", "Se", "Se", "S", "S"], "frac_coords": [[0.0000, 0.0000, 0.0000], [0.0000, 0.0000, 0.0996], [0.0000, 0.0000, 0.8620], [0.3333, 0.6667, 0.0498], [0.0000, 0.0000, 0.2378], [0.3333, 0.6667, 0.4256], [0.0000, 0.0000, 0.3816], [0.0000, 0.0000, 0.4695], [0.3333, 0.6667, 0.1938], [0.3333, 0.6667, 0.2817], [0.3333, 0.6667, 0.8221], [0.3333, 0.6667, 0.9019]]}

=====

(18)
{"formula": "TeMoWSe2S", "functional": "GGA-PBE", "state": "optimized geometry", "total_energy_ev_per_atom": -6.8849, "formation_enthalpy_0k_ev_per_atom": -0.62, "magnetic_moment_mub_per_fu": 0.002, "lattice": [[3.3407, 0.0000, 0.0000], [-1.6704, 2.8932, 0.0000], [0.0000, 0.0000, 38.0867]], "species": ["Te", "Te", "Mo", "Mo", "W", "W", "Se", "Se", "Se", "Se", "S", "S"], "frac_coords": [[0.0000, 0.0000, 0.0000], [0.0000, 0.0000, 0.0996], [0.0000, 0.0000, 0.4861], [0.3333, 0.6667, 0.0498], [0.0000, 0.0000, 0.8619], [0.3333, 0.6667, 0.6740], [0.3333, 0.6667, 0.4424], [0.3333, 0.6667, 0.5299], [0.3333, 0.6667, 0.8179], [0.3333, 0.6667, 0.9058], [0.0000, 0.0000, 0.6340], [0.0000, 0.0000, 0.7140]]}

=====

(19)
{"formula": "TeMoWSe2S", "functional": "GGA-PBE", "state": "optimized geometry", "total_energy_ev_per_atom": -6.8850, "formation_enthalpy_0k_ev_per_atom": -0.62, "magnetic_moment_mub_per_fu": 0.000, "lattice": [[3.3412, 0.0000, 0.0000], [-1.6706, 2.8936, 0.0000], [0.0000, 0.0000, 38.0646]], "species": ["Te", "Te", "Mo", "Mo", "W", "W", "Se", "Se", "Se", "Se", "S", "S"], "frac_coords": [[0.0000, 0.0000, 0.0000], [0.0000, 0.0000, 0.0996], [0.6667, 0.3333, 0.0498], [0.6667, 0.3333, 0.4256], [0.0000, 0.0000, 0.2377], [0.0000, 0.0000, 0.6135], [0.0000, 0.0000, 0.3818], [0.0000, 0.0000, 0.4694], [0.6667, 0.3333, 0.1938], [0.6667, 0.3333, 0.2817], [0.6667, 0.3333, 0.5735], [0.6667, 0.3333, 0.6535]]}

=====

(20)
{"formula": "Te2Mo3WSe4S2", "functional": "GGA-PBE", "state": "optimized geometry", "total_energy_ev_per_atom": -6.7227, "formation_enthalpy_0k_ev_per_atom": -0.64, "magnetic_moment_mub_per_fu": 0.000, "lattice": [[3.3445, 0.0000, 0.0000], [-1.6722, 2.8964, 0.0000], [0.0000, 0.0000, 38.0493]], "species": ["Te", "Te", "Mo", "Mo", "Mo", "W", "Se", "Se", "Se", "Se", "S", "S"], "frac_coords": [[0.0000, 0.0000, 0.0000], [0.0000, 0.0000, 0.0998], [0.0000, 0.0000, 0.2378], [0.0000, 0.0000, 0.8620], [0.3333, 0.6667, 0.0499], [0.3333, 0.6667, 0.4256], [0.0000, 0.0000, 0.3817], [0.0000, 0.0000, 0.4696], [0.3333, 0.6667, 0.1940], [0.3333, 0.6667, 0.2816], [0.3333, 0.6667, 0.8222], [0.3333, 0.6667, 0.9019]]}